Entry 1:
The following is a DFT calculation (PBE) of Ga3Rh after structural relaxation.

```
Ga3Rh
1.0
3.308 0.954 -4.177
-5.282 1.106 -0.423
0.820 4.566 1.692
Ga Rh
6 2
direct
0.171 0.341 0.250
0.659 0.829 0.250
0.171 0.829 0.250
0.829 0.659 0.750
0.341 0.171 0.750
0.829 0.171 0.750
0.333 0.667 0.750
0.667 0.333 0.250
```

---

Entry 2:
The following is a DFT calculation (PBE) of Ga3Rh after structural relaxation.

```
Ga3Rh
1.0
6.540 0.000 0.000
0.000 6.540 0.000
0.000 0.000 6.706
Ga Rh
12 4
direct
0.000 0.500 0.500
0.500 0.000 0.000
0.500 0.000 0.500
0.000 0.500 0.000
0.348 0.652 0.240
0.652 0.348 0.240
0.152 0.152 0.740
0.848 0.848 0.740
0.652 0.348 0.760
0.348 0.652 0.760
0.848 0.848 0.260
0.152 0.152 0.260
0.159 0.841 0.500
0.841 0.159 0.500
0.341 0.341 0.000
0.659 0.659 0.000
```

---

Entry 3:
The following is a DFT calculation (PBE) of Ga16Rh3 after structural relaxation.

```
Ga16Rh3
1.0
-15.004 1.545 4.205
11.842 -3.056 -9.779
-0.148 -6.331 1.800
Ga Rh
32 6
direct
0.920 0.080 0.500
0.080 0.920 0.500
0.580 0.420 0.000
0.420 0.580 0.000
0.759 0.241 0.500
0.241 0.759 0.500
0.741 0.259 0.000
0.259 0.741 0.000
0.116 0.183 0.151
0.884 0.817 0.151
0.183 0.116 0.849
0.817 0.884 0.849
0.384 0.317 0.349
0.616 0.683 0.349
0.317 0.384 0.651
0.683 0.616 0.651
0.972 0.352 0.838
0.028 0.648 0.838
0.352 0.972 0.162
0.648 0.028 0.162
0.528 0.148 0.662
0.472 0.852 0.662
0.148 0.528 0.338
0.852 0.472 0.338
0.233 0.477 0.646
0.767 0.523 0.646
0.477 0.233 0.354
0.523 0.767 0.354
0.267 0.023 0.854
0.733 0.977 0.854
0.023 0.267 0.146
0.977 0.733 0.146
0.000 0.000 0.500
0.500 0.500 0.000
0.840 0.160 0.500
0.160 0.840 0.500
0.660 0.340 0.000
0.340 0.660 0.000
```

---

Entry 4:
The following is a DFT calculation (PBE) of Ga2RuRh after structural relaxation.

```
Ga2RuRh
1.0
0.000 3.032 3.032
3.032 0.000 3.032
3.032 3.032 0.000
Ga Ru Rh
2 1 1
direct
0.250 0.250 0.250
0.750 0.750 0.750
0.000 0.000 0.000
0.500 0.500 0.500
```

---

Entry 5:
The following is a DFT calculation (PBE) of Sc6Ga16Rh7 after structural relaxation.

```
Sc6Ga16Rh7
1.0
3.497 6.807 4.398
-3.940 3.035 7.292
3.729 -1.294 7.895
Sc Ga Rh
6 16 7
direct
0.709 0.709 0.291
0.291 0.709 0.291
0.709 0.291 0.291
0.291 0.291 0.709
0.709 0.291 0.709
0.291 0.709 0.709
0.879 0.879 0.364
0.879 0.364 0.879
0.364 0.879 0.879
0.879 0.879 0.879
0.121 0.121 0.636
0.121 0.636 0.121
0.636 0.121 0.121
0.121 0.121 0.121
0.660 0.660 0.019
0.660 0.019 0.660
0.019 0.660 0.660
0.660 0.660 0.660
0.340 0.340 0.981
0.340 0.981 0.340
0.981 0.340 0.340
0.340 0.340 0.340
0.000 0.000 0.000
0.000 0.000 0.500
0.500 0.000 0.500
0.000 0.500 0.500
0.500 0.500 0.000
0.000 0.500 0.000
0.500 0.000 0.000
```

---

Entry 6:
The following is a DFT calculation (PBE) of SmGaRh2 after structural relaxation.

```
SmGaRh2
1.0
0.000 3.280 3.280
3.280 0.000 3.280
3.280 3.280 0.000
Sm Ga Rh
1 1 2
direct
0.750 0.750 0.750
0.250 0.250 0.250
0.000 0.000 0.000
0.500 0.500 0.500
```

---

Entry 7:
The following is a DFT calculation (PBE) of Sm2Ga9Rh3 after structural relaxation.

```
Sm2Ga9Rh3
1.0
3.835 -6.564 0.000
3.835 6.564 0.000
0.000 0.000 9.619
Sm Ga Rh
4 18 6
direct
0.997 0.668 0.250
0.003 0.332 0.750
0.668 0.997 0.250
0.332 0.003 0.750
0.126 0.126 0.250
0.874 0.874 0.750
0.002 0.335 0.077
0.998 0.665 0.923
0.998 0.665 0.577
0.335 0.002 0.423
0.002 0.335 0.423
0.665 0.998 0.577
0.665 0.998 0.923
0.335 0.002 0.077
0.334 0.334 0.560
0.666 0.666 0.440
0.666 0.666 0.060
0.334 0.334 0.940
0.337 0.546 0.250
0.663 0.454 0.750
0.546 0.337 0.250
0.454 0.663 0.750
0.671 0.329 0.000
0.329 0.671 0.000
0.329 0.671 0.500
0.671 0.329 0.500
0.000 0.000 0.000
0.000 0.000 0.500
```

---

Entry 8:
The following is a DFT calculation (PBE) of Tb3Ga8Rh3 after structural relaxation.

```
Tb3Ga8Rh3
1.0
4.506 -5.993 -3.294
7.295 2.387 2.858
-7.405 -3.252 1.288
Tb Ga Rh
3 8 3
direct
0.500 0.500 0.000
0.173 0.173 0.000
0.827 0.827 0.000
0.093 0.377 0.716
0.907 0.623 0.284
0.660 0.377 0.284
0.340 0.623 0.716
0.797 0.167 0.630
0.203 0.833 0.370
0.537 0.167 0.370
0.463 0.833 0.630
0.000 0.500 0.500
0.782 0.000 0.782
0.218 0.000 0.218
```

---

Number 1: DFT formation energy -0.220 eV/atom. Number 2: DFT formation energy -0.425 eV/atom. Number 3: DFT formation energy -0.292 eV/atom. Number 4: DFT formation energy -0.535 eV/atom. Number 5: DFT formation energy -0.680 eV/atom. Number 6: DFT formation energy -0.701 eV/atom. Number 7: DFT formation energy -0.719 eV/atom. Number 8: DFT formation energy -0.711 eV/atom.